Entry 1:
Tm2WO6: optimized geometry, PBE+U.

Unit cell a=9.783 b=9.783 c=5.341 alpha=104.17 beta=104.17 gamma=68.30
Fractional positions:
Tm 0.055 0.283 0.882
Tm 0.104 0.896 0.750
Tm 0.283 0.055 0.382
Tm 0.365 0.635 0.250
Tm 0.635 0.365 0.750
Tm 0.717 0.945 0.618
Tm 0.896 0.104 0.250
Tm 0.945 0.717 0.118
W 0.199 0.494 0.568
W 0.494 0.199 0.068
W 0.506 0.801 0.932
W 0.801 0.506 0.432
O 0.059 0.474 0.258
O 0.074 0.108 0.078
O 0.108 0.074 0.578
O 0.159 0.690 0.422
O 0.177 0.621 0.891
O 0.215 0.313 0.647
O 0.310 0.841 0.078
O 0.313 0.215 0.147
O 0.379 0.823 0.609
O 0.390 0.455 0.519
O 0.455 0.390 0.019
O 0.474 0.059 0.758
O 0.526 0.941 0.242
O 0.545 0.610 0.981
O 0.610 0.545 0.481
O 0.621 0.177 0.391
O 0.687 0.785 0.853
O 0.690 0.159 0.922
O 0.785 0.687 0.353
O 0.823 0.379 0.109
O 0.841 0.310 0.578
O 0.892 0.926 0.422
O 0.926 0.892 0.922
O 0.941 0.526 0.742

Calculated values
The calculated total energy comes out at -290.9 eV for the cell shown. The formation energy comes out at -3.298 eV/atom. The symmetry is C2/c, No. 15. The magnetic moment comes out at 0.0 Bohr magnetons per cell. As for the total energy after the MP2020 corrections: -9.03 eV/atom.

***

Entry 2:
LiV2P3O12: optimized geometry, PBE+U.

Unit cell a=8.526 b=8.526 c=8.526 alpha=60.49 beta=60.49 gamma=60.49
Fractional positions:
Li 0.000 0.000 0.000
Li 0.500 0.500 0.500
V 0.141 0.141 0.141
V 0.359 0.359 0.359
V 0.641 0.641 0.641
V 0.859 0.859 0.859
P 0.040 0.750 0.460
P 0.250 0.540 0.960
P 0.460 0.040 0.750
P 0.540 0.960 0.250
P 0.750 0.460 0.040
P 0.960 0.250 0.540
O 0.002 0.192 0.376
O 0.056 0.915 0.268
O 0.085 0.732 0.944
O 0.124 0.308 0.498
O 0.192 0.376 0.002
O 0.232 0.585 0.444
O 0.268 0.056 0.915
O 0.308 0.498 0.124
O 0.376 0.002 0.192
O 0.415 0.556 0.768
O 0.444 0.232 0.585
O 0.498 0.124 0.308
O 0.502 0.876 0.692
O 0.556 0.768 0.415
O 0.585 0.444 0.232
O 0.624 0.998 0.808
O 0.692 0.502 0.876
O 0.732 0.944 0.085
O 0.768 0.415 0.556
O 0.808 0.624 0.998
O 0.876 0.692 0.502
O 0.915 0.268 0.056
O 0.944 0.085 0.732
O 0.998 0.808 0.624

Calculated values
The calculated total energy comes out at -263.6 eV for the cell shown. The formation energy comes out at -2.654 eV/atom. The symmetry is R-3c, No. 167. The magnetic moment comes out at 4.0 Bohr magnetons per cell. As for the total energy after the MP2020 corrections: -7.97 eV/atom.

***

Entry 3:
Li7FeCo3P6O24: optimized geometry, PBE+U.

Unit cell a=8.809 b=8.809 c=8.809 alpha=60.06 beta=60.06 gamma=60.06
Fractional positions:
Li 0.000 0.000 0.000
Li 0.189 0.364 0.818
Li 0.296 0.802 0.635
Li 0.364 0.818 0.189
Li 0.635 0.296 0.802
Li 0.802 0.635 0.296
Li 0.818 0.189 0.364
Fe 0.379 0.379 0.379
Co 0.175 0.175 0.175
Co 0.673 0.673 0.673
Co 0.875 0.875 0.875
P 0.064 0.774 0.483
P 0.276 0.568 0.981
P 0.483 0.064 0.774
P 0.568 0.981 0.276
P 0.774 0.483 0.064
P 0.981 0.276 0.568
O 0.001 0.234 0.405
O 0.050 0.805 0.650
O 0.075 0.951 0.306
O 0.116 0.756 0.946
O 0.151 0.310 0.533
O 0.234 0.405 0.001
O 0.254 0.619 0.442
O 0.306 0.075 0.951
O 0.310 0.533 0.151
O 0.405 0.001 0.234
O 0.442 0.254 0.619
O 0.447 0.582 0.799
O 0.518 0.900 0.731
O 0.533 0.151 0.310
O 0.582 0.799 0.447
O 0.619 0.442 0.254
O 0.650 0.050 0.805
O 0.731 0.518 0.900
O 0.756 0.946 0.116
O 0.799 0.447 0.582
O 0.805 0.650 0.050
O 0.900 0.731 0.518
O 0.946 0.116 0.756
O 0.951 0.306 0.075

Calculated values
The calculated total energy comes out at -265.5 eV for the cell shown. The formation energy comes out at -2.311 eV/atom. The symmetry is R3, No. 146. The magnetic moment comes out at 11.1 Bohr magnetons per cell. As for the total energy after the MP2020 corrections: -7.05 eV/atom.